Entry 1:
The following is a DFT calculation (PBE) of crystalline Ca2AsH4F13 at its relaxed geometry.

```
Ca2AsH4F13
1.0
7.318 0.000 0.000
0.000 7.318 0.000
0.000 0.000 17.751
Ca As H F
8 4 16 52
direct
0.221 0.243 0.215
0.221 0.757 0.285
0.243 0.221 0.535
0.243 0.779 0.965
0.757 0.221 0.465
0.757 0.779 0.035
0.779 0.243 0.785
0.779 0.757 0.715
0.283 0.500 0.750
0.500 0.283 0.000
0.500 0.717 0.500
0.717 0.500 0.250
0.035 0.116 0.061
0.035 0.884 0.439
0.116 0.035 0.689
0.116 0.965 0.811
0.128 0.387 0.378
0.128 0.613 0.122
0.387 0.128 0.372
0.387 0.872 0.128
0.613 0.128 0.628
0.613 0.872 0.872
0.872 0.387 0.622
0.872 0.613 0.878
0.884 0.035 0.311
0.884 0.965 0.189
0.965 0.116 0.939
0.965 0.884 0.561
0.000 0.006 0.500
0.000 0.994 0.000
0.006 0.000 0.250
0.062 0.205 0.102
0.062 0.795 0.398
0.064 0.328 0.430
0.064 0.672 0.070
0.113 0.333 0.767
0.113 0.667 0.733
0.197 0.442 0.322
0.197 0.558 0.178
0.205 0.062 0.648
0.205 0.938 0.852
0.282 0.445 0.653
0.282 0.555 0.847
0.328 0.064 0.320
0.328 0.936 0.180
0.333 0.113 0.983
0.333 0.456 0.986
0.333 0.544 0.514
0.333 0.887 0.517
0.442 0.197 0.428
0.442 0.803 0.072
0.445 0.282 0.097
0.445 0.718 0.403
0.456 0.333 0.764
0.456 0.667 0.736
0.544 0.333 0.236
0.544 0.667 0.264
0.555 0.282 0.903
0.555 0.718 0.597
0.558 0.197 0.572
0.558 0.803 0.928
0.667 0.113 0.017
0.667 0.456 0.014
0.667 0.544 0.486
0.667 0.887 0.483
0.672 0.064 0.680
0.672 0.936 0.820
0.718 0.445 0.347
0.718 0.555 0.153
0.795 0.062 0.352
0.795 0.938 0.148
0.803 0.442 0.678
0.803 0.558 0.822
0.887 0.333 0.233
0.887 0.667 0.267
0.936 0.328 0.570
0.936 0.672 0.930
0.938 0.205 0.898
0.938 0.795 0.602
0.994 0.000 0.750
```

***

Entry 2:
The following is a DFT calculation (PBE) of crystalline Ba2HoNbO6 at its relaxed geometry.

```
Ba2HoNbO6
1.0
0.000 4.270 4.270
4.270 0.000 4.270
4.270 4.270 0.000
Ba Ho Nb O
2 1 1 6
direct
0.250 0.250 0.250
0.750 0.750 0.750
0.000 0.000 0.000
0.500 0.500 0.500
0.263 0.263 0.737
0.263 0.737 0.263
0.263 0.737 0.737
0.737 0.263 0.263
0.737 0.263 0.737
0.737 0.737 0.263
```

***

no.,E_form (kJ/mol of formula units),calculated volume (A^3/atom)
1,-5293,11.88
2,-3348,15.57